Below is an optimized crystal structure of WS2, with properties calculated at the PBE level.

The calculated total energy is -23.68 eV/f.u. The calculated formation energy comes out at -3.46 eV per formula unit.

The structure belongs to space group P-6m2 (No. 187); the cell edges are 3.1907, 3.1907 and 31.3036 Å and the angles 90.00°, 90.00° and 120.00°. The inequivalent atoms are W at (0.0000, 0.0000, 0.0000), W at (0.6667, 0.3333, 0.2268), S at (0.0000, 0.0000, 0.1766), S at (0.0000, 0.0000, 0.2771) and S at (0.6667, 0.3333, 0.0503).

***

Below is an optimized crystal structure of Zr9W4S, with properties calculated at the PBE level.

The calculated total energy is -136.62 eV/f.u. The calculated formation energy comes out at -4.22 eV per formula unit.

The structure belongs to space group P6_3/mmc (No. 194); the cell edges are 8.7756, 8.7756 and 8.6862 Å and the angles 90.00°, 90.00° and 120.00°. The inequivalent atoms are Zr at (0.0782, 0.5391, 0.2500), Zr at (0.1969, 0.3937, 0.5497), W at (0.0000, 0.0000, 0.0000), W at (0.1087, 0.2174, 0.2500) and S at (0.3333, 0.6667, 0.7500).

***

Below is an optimized crystal structure of Y5S7, with properties calculated at the PBE level.

The calculated total energy is -86.14 eV/f.u. The calculated formation energy comes out at -28.38 eV per formula unit.

The structure belongs to space group C2/m (No. 12); the cell edges are 12.883, 3.820 and 11.637 Å and the angles 90.00°, 104.58° and 90.00°. The inequivalent atoms are Y at (0.000, 0.000, 0.000), Y at (0.112, 0.000, 0.421), Y at (0.200, 0.500, 0.813), S at (0.000, 0.500, 0.500), S at (0.042, 0.000, 0.785), S at (0.159, 0.500, 0.051) and S at (0.241, 0.500, 0.353).

***

Below is an optimized crystal structure of Y2S3, with properties calculated at the PBE level.

The calculated total energy is -35.66 eV/f.u. The calculated formation energy comes out at -11.83 eV per formula unit.

The structure belongs to space group Pnma (No. 62); the cell edges are 10.693, 3.887 and 10.512 Å and the angles 90.00°, 90.00° and 90.00°. The inequivalent atoms are Y at (0.008, 0.250, 0.187), Y at (0.192, 0.250, 0.505), S at (0.045, 0.750, 0.373), S at (0.120, 0.250, 0.946) and S at (0.229, 0.750, 0.697).